# Pr5Tl3 r2SCAN relaxed
data_Pr5Tl3
_chemical_formula_sum 'Pr20 Tl12'
_symmetry_space_group_name_H-M 'I 4/m c m'
_symmetry_Int_Tables_number 140
_symmetry_space_group_name_Hall '-I 4 2c'
_cell_length_a 12.682
_cell_length_b 12.682
_cell_length_c 6.362
_cell_angle_alpha 90.00
_cell_angle_beta 90.00
_cell_angle_gamma 90.00
loop_
_atom_site_label
_atom_site_fract_x
_atom_site_fract_y
_atom_site_fract_z
Pr1 0.000 0.500 0.250
Pr2 0.086 0.217 0.000
Tl1 0.000 0.000 0.250
Tl2 0.160 0.340 0.500
# Spin magnetization ... 1.1 μB/f.u.
# Energy relative to the elements ... -443 meV per atom
# Density ... 8.6 Mg/m³

# Pr3Tl5 r2SCAN relaxed
data_Pr3Tl5
_chemical_formula_sum 'Pr12 Tl20'
_symmetry_space_group_name_H-M 'C m c m'
_symmetry_Int_Tables_number 63
_symmetry_space_group_name_Hall '-C 2c 2'
_cell_length_a 10.361
_cell_length_b 8.414
_cell_length_c 10.657
_cell_angle_alpha 90.00
_cell_angle_beta 90.00
_cell_angle_gamma 90.00
loop_
_atom_site_label
_atom_site_fract_x
_atom_site_fract_y
_atom_site_fract_z
Pr1 0.000 0.129 0.250
Pr2 0.203 0.500 0.000
Tl1 0.000 0.193 0.545
Tl2 0.000 0.490 0.750
Tl3 0.216 0.209 0.750
# Spin magnetization ... 0.0 μB/f.u.
# Energy relative to the elements ... -499 meV per atom
# Density ... 10.3 Mg/m³